[1]
Entry from the Materials Project database: a geometry-optimized Ba3AlF9 structure (PBE).

Geometry as POSCAR:
```
Ba3AlF9
1.0
7.659 0.000 0.000
0.000 15.104 0.000
0.000 0.000 14.799
Ba Al F
24 8 72
direct
0.000 0.000 0.000
0.000 0.000 0.321
0.000 0.500 0.500
0.000 0.500 0.821
0.228 0.595 0.213
0.228 0.905 0.713
0.242 0.189 0.842
0.242 0.311 0.342
0.250 0.727 0.925
0.250 0.773 0.425
0.258 0.108 0.546
0.258 0.392 0.046
0.492 0.645 0.648
0.492 0.855 0.148
0.508 0.145 0.148
0.508 0.355 0.648
0.742 0.608 0.046
0.742 0.892 0.546
0.750 0.227 0.425
0.750 0.273 0.925
0.758 0.689 0.342
0.758 0.811 0.842
0.772 0.095 0.713
0.772 0.405 0.213
0.017 0.199 0.128
0.017 0.301 0.628
0.500 0.000 0.349
0.500 0.000 0.954
0.500 0.500 0.454
0.500 0.500 0.849
0.983 0.699 0.628
0.983 0.801 0.128
0.000 0.000 0.522
0.000 0.500 0.022
0.048 0.691 0.086
0.048 0.809 0.586
0.065 0.159 0.395
0.065 0.341 0.895
0.075 0.630 0.372
0.075 0.870 0.872
0.077 0.089 0.164
0.077 0.411 0.664
0.108 0.720 0.730
0.108 0.780 0.230
0.139 0.074 0.711
0.139 0.426 0.211
0.151 0.184 0.024
0.151 0.316 0.524
0.171 0.654 0.568
0.171 0.846 0.068
0.218 0.244 0.178
0.218 0.256 0.678
0.327 0.012 0.872
0.327 0.488 0.372
0.330 0.528 0.931
0.330 0.972 0.431
0.340 0.524 0.759
0.340 0.976 0.259
0.341 0.008 0.047
0.341 0.492 0.547
0.435 0.117 0.351
0.435 0.383 0.851
0.442 0.718 0.280
0.442 0.782 0.780
0.447 0.700 0.067
0.447 0.800 0.567
0.482 0.623 0.456
0.482 0.877 0.956
0.500 0.000 0.637
0.500 0.500 0.137
0.518 0.123 0.956
0.518 0.377 0.456
0.553 0.200 0.567
0.553 0.300 0.067
0.558 0.218 0.780
0.558 0.282 0.280
0.565 0.617 0.851
0.565 0.883 0.351
0.659 0.508 0.547
0.659 0.992 0.047
0.660 0.024 0.259
0.660 0.476 0.759
0.670 0.028 0.431
0.670 0.472 0.931
0.673 0.512 0.372
0.673 0.988 0.872
0.782 0.744 0.678
0.782 0.756 0.178
0.829 0.154 0.068
0.829 0.346 0.568
0.849 0.684 0.524
0.849 0.816 0.024
0.861 0.574 0.211
0.861 0.926 0.711
0.892 0.220 0.230
0.892 0.280 0.730
0.923 0.589 0.664
0.923 0.911 0.164
0.925 0.130 0.872
0.925 0.370 0.372
0.935 0.659 0.895
0.935 0.841 0.395
0.952 0.191 0.586
0.952 0.309 0.086
```

Output
The value obtained for the distance to the lowest polymorph of the same formula is 0.013 eV per atom. As for the formation energy from the elements: -4084 meV per atom.

---

[2]
Entry from the Materials Project database: a geometry-optimized SbF4 structure (PBE).

Geometry as POSCAR:
```
SbF4
1.0
5.112 0.000 0.000
-0.052 5.254 0.000
-2.205 -2.447 5.246
Sb F
2 8
direct
0.000 0.000 0.000
0.488 0.507 0.995
0.080 0.602 0.791
0.199 0.049 0.787
0.281 0.398 0.208
0.382 0.942 0.213
0.620 0.740 0.780
0.754 0.196 0.800
0.840 0.253 0.232
0.921 0.786 0.197
```

Output
Its largest piezoelectric modulus is 8.5 C/m2. As for the formation energy from the elements: -2475 meV per atom.

---

[3]
Entry from the Materials Project database: a geometry-optimized Tb2Pb2O7 structure (PBE).

Geometry as POSCAR:
```
Tb2Pb2O7
1.0
7.388 0.000 0.000
0.000 7.388 0.000
0.000 0.000 12.904
Tb Pb O
8 8 28
direct
0.125 0.357 0.389
0.143 0.625 0.639
0.357 0.125 0.611
0.375 0.857 0.861
0.625 0.143 0.361
0.643 0.875 0.111
0.857 0.375 0.139
0.875 0.643 0.889
0.112 0.874 0.098
0.126 0.888 0.402
0.374 0.388 0.848
0.388 0.374 0.152
0.612 0.626 0.652
0.626 0.612 0.348
0.874 0.112 0.902
0.888 0.126 0.598
0.070 0.904 0.911
0.096 0.325 0.575
0.096 0.930 0.589
0.130 0.330 0.212
0.170 0.630 0.462
0.175 0.596 0.825
0.199 0.801 0.250
0.301 0.301 0.000
0.325 0.096 0.425
0.330 0.130 0.788
0.370 0.830 0.038
0.404 0.430 0.661
0.404 0.825 0.675
0.430 0.404 0.339
0.570 0.596 0.839
0.596 0.175 0.175
0.596 0.570 0.161
0.630 0.170 0.538
0.670 0.870 0.288
0.675 0.904 0.925
0.699 0.699 0.500
0.801 0.199 0.750
0.825 0.404 0.325
0.830 0.370 0.962
0.870 0.670 0.712
0.904 0.070 0.089
0.904 0.675 0.075
0.930 0.096 0.411
```

Output
The value obtained for the distance to the lowest polymorph of the same formula is 0.076 eV per atom. As for the formation energy from the elements: -2476 meV per atom.

---

[4]
Entry from the Materials Project database: a geometry-optimized Ba2YMgRuO6 structure (PBE).

Geometry as POSCAR:
```
Ba2YMgRuO6
1.0
-2.960 3.055 4.638
2.960 -3.055 4.638
2.960 3.055 -4.638
Ba Y Mg Ru O
2 1 1 1 6
direct
0.190 0.190 0.000
0.810 0.810 0.000
0.500 0.000 0.500
0.500 0.500 0.000
0.000 0.500 0.500
0.235 0.735 0.500
0.257 0.271 0.527
0.257 0.729 0.986
0.743 0.271 0.014
0.743 0.729 0.473
0.765 0.265 0.500
```

Output
The value obtained for the distance to the lowest polymorph of the same formula is 0.007 eV per atom. As for the formation energy from the elements: -2504 meV per atom.

---

What did the second record say?
Entry from the Materials Project database: a geometry-optimized SbF4 structure (PBE).

Geometry as POSCAR:
```
SbF4
1.0
5.112 0.000 0.000
-0.052 5.254 0.000
-2.205 -2.447 5.246
Sb F
2 8
direct
0.000 0.000 0.000
0.488 0.507 0.995
0.080 0.602 0.791
0.199 0.049 0.787
0.281 0.398 0.208
0.382 0.942 0.213
0.620 0.740 0.780
0.754 0.196 0.800
0.840 0.253 0.232
0.921 0.786 0.197
```

Output
Its largest piezoelectric modulus is 8.5 C/m2. As for the formation energy from the elements: -2475 meV per atom.